(1)
# MoPt

An optimized crystal structure of MoPt (PBE, Materials Project).

Results
Space group: Amm2
Energy of formation: -212 meV per atom
Volume: 15.59 Å³ per atom

a = 5.646 Å, b = 5.646 Å, c = 4.504 Å
α = 90.00°, β = 90.00°, γ = 119.67°
Atoms (fractional coordinates):
Mo 0.335 0.665 0.000
Mo 0.667 0.333 0.500
Mo 0.821 0.661 0.000
Mo 0.339 0.179 0.000
Pt 0.835 0.165 0.000
Pt 0.166 0.330 0.500
Pt 0.670 0.834 0.500
Pt 0.167 0.833 0.500

(2)
# MoPt2

An optimized crystal structure of MoPt2 (PBE, Materials Project).

Results
Space group: Immm
Energy of formation: -359 meV per atom
Volume: 15.47 Å³ per atom

a = 2.765 Å, b = 4.003 Å, c = 4.848 Å
α = 114.38°, β = 106.57°, γ = 90.00°
Atoms (fractional coordinates):
Mo 0.000 0.000 0.000
Pt 0.664 0.664 0.328
Pt 0.336 0.336 0.672

(3)
# MoPt

An optimized crystal structure of MoPt (PBE, Materials Project).

Results
Space group: P-6m2
Energy of formation: -160 meV per atom
Volume: 15.61 Å³ per atom

a = 2.821 Å, b = 2.821 Å, c = 4.527 Å
α = 90.00°, β = 90.00°, γ = 120.00°
Atoms (fractional coordinates):
Mo 0.667 0.333 0.000
Pt 0.333 0.667 0.500